# 1
Tm2Ga8Co: optimized geometry, meta-GGA r2SCAN.

Computed properties:
Mass density ... 8.4 Mg/m³

POSCAR file:
```
Tm2Ga8Co
1.0
4.1629 0.0000 0.0000
0.0000 4.1629 0.0000
0.0000 0.0000 10.9331
Tm Ga Co
2 8 1
Direct
0.0000 0.0000 0.1941
0.0000 0.0000 0.8059
0.0000 0.5000 0.0000
0.0000 0.5000 0.3836
0.0000 0.5000 0.6164
0.5000 0.0000 0.0000
0.5000 0.0000 0.3836
0.5000 0.0000 0.6164
0.5000 0.5000 0.1953
0.5000 0.5000 0.8047
0.0000 0.0000 0.5000
```

# 2
CuPd: optimized geometry, meta-GGA r2SCAN.

Computed properties:
Mass density ... 10.7 Mg/m³

POSCAR file:
```
CuPd
1.0
2.9804 0.0000 0.0000
0.0000 2.9804 0.0000
0.0000 0.0000 2.9804
Cu Pd
1 1
Direct
0.0000 0.0000 0.0000
0.5000 0.5000 0.5000
```

# 3
LuPS4: optimized geometry, meta-GGA r2SCAN.

Computed properties:
Mass density ... 3.8 Mg/m³

POSCAR file:
```
LuPS4
1.0
8.3941 0.0000 0.0000
0.0000 6.4774 0.0000
-6.5260 0.0000 10.6478
Lu P S
4 4 16
Direct
0.0576 0.1784 0.1651
0.0576 0.3216 0.6651
0.9424 0.6784 0.3349
0.9424 0.8216 0.8349
0.1908 0.2297 0.4629
0.1908 0.2703 0.9629
0.8092 0.7297 0.0371
0.8092 0.7703 0.5371
0.0838 0.7297 0.5882
0.0838 0.7703 0.0882
0.2231 0.5381 0.8876
0.2231 0.9619 0.3876
0.2434 0.0509 0.8672
0.2434 0.4491 0.3672
0.3555 0.2443 0.6494
0.3555 0.2557 0.1494
0.6445 0.7443 0.8506
0.6445 0.7557 0.3506
0.7566 0.5509 0.6328
0.7566 0.9491 0.1328
0.7769 0.0381 0.6124
0.7769 0.4619 0.1124
0.9162 0.2297 0.9118
0.9162 0.2703 0.4118
```

| no. | energy (eV per atom) | total magnetic moment (μB per formula unit) |
| --- | --- | --- |
| 1 | -16.3975 | 0.0 |
| 2 | -17.0270 | 0.0 |
| 3 | -14.3821 | 0.0 |